This record from the Materials Project database describes a relaxed MgUSe2O15 crystal. The functional is PBE.

Summary:
formation energy from the elements = -940 meV/atom
total DFT energy (no corrections) = -438.18 eV per cell

a = 8.4438 Å, b = 11.7775 Å, c = 12.7131 Å
α = 90.00°, β = 95.81°, γ = 90.00°
With the nearest neighbours (Å) after each atom.
Space group P2_1/c (No. 14)
Inequivalent atoms, fractional coordinates:
Mg: 0.0901 0.1899 0.4875  4 O 1.97-2.18
U: 0.3821 0.6001 0.7438  2 O 1.79-1.80
Se: 0.2359 0.2170 0.2421  4 O 1.66-1.68
Se: 0.2531 0.5941 0.2687  4 O 1.67-1.70
O: 0.0693 0.0057 0.4843  1 O 1.28
O: 0.0963 0.5438 0.3240  1 Se 1.67
O: 0.1175 0.2220 0.3387  1 Se 1.66
O: 0.1262 0.5446 0.8007  2 O 2.27-2.50, 1 U 2.44
O: 0.1503 0.6990 0.0088  1 Mg 2.04, 1 O 2.17
O: 0.1582 0.2051 0.6406  1 Se 1.66
O: 0.2316 0.5845 0.1366  1 Se 1.67
O: 0.2396 0.1053 0.9832  1 O 1.24
O: 0.2522 0.0817 0.2027  1 Se 1.68
O: 0.2846 0.7306 0.3080  1 Se 1.70
O: 0.3011 0.6349 0.6110  1 U 1.80
O: 0.3564 0.1688 0.9972  1 O 1.24
O: 0.4157 0.2351 0.7858  1 Se 1.66
O: 0.4163 0.5189 0.3149  1 Se 1.69
O: 0.4578 0.5645 0.8767  1 U 1.79

***

This record from the Materials Project database describes a relaxed EuMn2P2 crystal. The functional is PBE.

Summary:
formation energy from the elements = -712 meV/atom
total DFT energy (no corrections) = -42.97 eV per cell

a = 3.7654 Å, b = 3.7654 Å, c = 6.7984 Å
α = 90.00°, β = 90.00°, γ = 120.00°
With the nearest neighbours (Å) after each atom.
Space group P-3m1 (No. 164)
Inequivalent atoms, fractional coordinates:
Eu: 0.0000 0.0000 0.0000  6 P 2.95
Mn: 0.3333 0.6667 0.6182  4 P 2.21-2.26
P: 0.3333 0.6667 0.2929  4 Mn 2.21-2.26

***

This record from the Materials Project database describes a relaxed Zr4Al3C6 crystal. The functional is PBE.

Summary:
formation energy from the elements = -571 meV/atom
total DFT energy (no corrections) = -216.45 eV per cell

a = 3.3613 Å, b = 3.3613 Å, c = 33.1544 Å
α = 90.00°, β = 90.00°, γ = 120.00°
With the nearest neighbours (Å) after each atom.
Space group P6_3/mmc (No. 194)
Inequivalent atoms, fractional coordinates:
Zr: 0.0000 0.0000 0.1208  6 C 2.31-2.51
Zr: 0.3333 0.6667 0.0402  6 C 2.36-2.41
Al: 0.3333 0.6667 0.2500  3 C 1.94
Al: 0.3333 0.6667 0.6892  4 C 2.02-2.06
C: 0.0000 0.0000 0.0000  6 Zr 2.36
C: 0.3333 0.6667 0.1686  3 Al 2.06
C: 0.3333 0.6667 0.5831  6 Zr 2.31-2.41
C: 0.3333 0.6667 0.7500  5 Al 1.94-2.02

***

This record from the Materials Project database describes a relaxed EuB4O7 crystal. The functional is PBE.

Summary:
formation energy from the elements = -2985 meV/atom
total DFT energy (no corrections) = -205.25 eV per cell

a = 10.8425 Å, b = 4.4724 Å, c = 4.2787 Å
α = 90.00°, β = 90.00°, γ = 90.00°
With the nearest neighbours (Å) after each atom.
Space group Pmn2_1 (No. 31)
Inequivalent atoms, fractional coordinates:
Eu: 0.0000 0.2097 0.0000  7 O 2.56-2.82
B: 0.1216 0.6741 0.5211  4 O 1.46-1.57
B: 0.2489 0.8226 0.9953  4 O 1.43-1.57
O: 0.0000 0.7689 0.4145  2 B 1.46
O: 0.1357 0.7294 0.8555  2 B 1.43-1.46
O: 0.1422 0.3579 0.4508  2 B 1.44-1.46
O: 0.2210 0.8695 0.3514  3 B 1.54-1.57

***

This record from the Materials Project database describes a relaxed Na30Mg16Ta8Si15S21O144 crystal. The functional is PBE.

Summary:
formation energy from the elements = -2569 meV/atom
total DFT energy (no corrections) = -1543.17 eV per cell

a = 8.9826 Å, b = 15.5460 Å, c = 22.4020 Å
α = 89.85°, β = 89.98°, γ = 89.98°
With the nearest neighbours (Å) after each atom.
Space group P1 (No. 1)
Inequivalent atoms, fractional coordinates:
Na: 0.0000 0.0000 0.0000  4 O 2.37-2.60
Na: 0.0007 0.6712 0.6590  5 O 2.35-2.63
Na: 0.0261 0.6955 0.9990  4 O 2.35-2.60
Na: 0.1569 0.1855 0.7476  6 O 2.45-2.66
Na: 0.1588 0.8570 0.9193  6 O 2.53-2.68
Na: 0.1632 0.8490 0.4198  6 O 2.47-2.71
Na: 0.1655 0.5174 0.0920  3 O 2.44-2.46
Na: 0.1721 0.1865 0.2507  6 O 2.50-2.65
Na: 0.1773 0.5208 0.5912  2 O 2.28-2.50
Na: 0.2969 0.6969 0.5044  4 O 2.33-2.60
Na: 0.3279 0.9987 0.4995  3 O 2.30-2.56
Na: 0.3507 0.7052 0.8263  6 O 2.37-2.61
Na: 0.3620 0.3617 0.4988  3 O 2.32-2.53
Na: 0.4668 0.8608 0.9997  4 O 2.32-2.59
Na: 0.4783 0.2052 0.3296  6 O 2.43-2.58
Na: 0.5007 0.1710 0.6598  4 O 2.34-2.60
Na: 0.5015 0.4979 0.9995  3 O 2.28-2.55
Na: 0.5331 0.1970 0.0062  4 O 2.34-2.62
Na: 0.6507 0.0206 0.0935  2 O 2.25-2.45
Na: 0.6566 0.6861 0.7470  6 O 2.43-2.67
Na: 0.6593 0.3549 0.9208  6 O 2.46-2.69
Na: 0.6639 0.6839 0.2555  6 O 2.46-2.70
Na: 0.6707 0.3570 0.4210  6 O 2.45-2.73
Na: 0.6773 0.0202 0.5921  2 O 2.27-2.48
Na: 0.7971 0.1973 0.5052  4 O 2.34-2.61
Na: 0.8266 0.5004 0.4989  3 O 2.31-2.54
Na: 0.8288 0.1711 0.1622  3 O 2.34-2.54
Na: 0.8504 0.2049 0.8276  6 O 2.40-2.63
Na: 0.8621 0.8588 0.4983  3 O 2.34-2.53
Na: 0.9658 0.3606 0.0001  4 O 2.32-2.56
Mg: 0.1599 0.1834 0.4005  3 O 1.93-1.96
Mg: 0.1628 0.8491 0.2670  6 O 2.10-2.21
Mg: 0.1649 0.5186 0.2316  6 O 2.01-2.18
Mg: 0.1650 0.8506 0.0633  6 O 2.03-2.13
Mg: 0.1680 0.8463 0.5630  6 O 1.97-2.20
Mg: 0.1687 0.1832 0.9002  3 O 1.93-1.96
Mg: 0.1706 0.5171 0.7275  6 O 1.97-2.17
Mg: 0.1716 0.8512 0.7593  3 O 1.96-2.07
Mg: 0.6571 0.0165 0.2285  6 O 1.98-2.21
Mg: 0.6574 0.3529 0.2621  3 O 1.98-2.12
Mg: 0.6614 0.3467 0.0635  6 O 1.98-2.20
Mg: 0.6637 0.6836 0.3991  3 O 1.93-1.96
Mg: 0.6674 0.3468 0.5629  6 O 1.98-2.20
Mg: 0.6680 0.6843 0.9002  3 O 1.94-1.99
Mg: 0.6706 0.0169 0.7278  6 O 1.97-2.17
Mg: 0.6713 0.3509 0.7595  3 O 1.96-2.07
Ta: 0.1512 0.1856 0.5969  4 O 1.89-2.03
Ta: 0.1616 0.5203 0.4360  6 O 1.91-2.10
Ta: 0.1638 0.5172 0.9369  6 O 1.92-2.07
Ta: 0.1775 0.1853 0.0981  4 O 1.90-2.03
Ta: 0.6508 0.6850 0.5970  4 O 1.89-2.02
Ta: 0.6643 0.6843 0.0974  4 O 1.90-2.11
Ta: 0.6657 0.0170 0.4364  6 O 1.92-2.09
Ta: 0.6655 0.0177 0.9372  6 O 1.92-2.07
Si: 0.0153 0.3306 0.4934  4 O 1.57-1.70
Si: 0.0228 0.0366 0.4939  4 O 1.57-1.70
Si: 0.3064 0.0372 0.9939  4 O 1.57-1.69
Si: 0.3123 0.7017 0.6673  4 O 1.62-1.72
Si: 0.3137 0.3293 0.9940  4 O 1.57-1.69
Si: 0.3740 0.6862 0.9930  4 O 1.59-1.69
Si: 0.4517 0.1860 0.4941  4 O 1.59-1.70
Si: 0.5153 0.8289 0.4931  4 O 1.57-1.70
Si: 0.5187 0.2020 0.1672  4 O 1.62-1.73
Si: 0.5216 0.5370 0.4932  4 O 1.57-1.70
Si: 0.8056 0.5378 0.9955  4 O 1.58-1.70
Si: 0.8118 0.2018 0.6672  4 O 1.62-1.72
Si: 0.8132 0.8289 0.9955  4 O 1.58-1.70
Si: 0.8777 0.1866 0.9945  4 O 1.59-1.70
Si: 0.9499 0.6869 0.4966  4 O 1.57-1.71
S: 0.0140 0.6634 0.8298  4 O 1.46-1.56
S: 0.0155 0.7035 0.1647  4 O 1.46-1.54
S: 0.0195 0.3736 0.8296  4 O 1.46-1.55
S: 0.0195 0.9971 0.1652  4 O 1.46-1.54
S: 0.3100 0.3732 0.3300  4 O 1.46-1.53
S: 0.3104 0.6639 0.3285  4 O 1.46-1.56
S: 0.3106 0.9998 0.6647  4 O 1.47-1.53
S: 0.3697 0.3504 0.6649  4 O 1.47-1.54
S: 0.3718 0.0160 0.3298  4 O 1.46-1.55
S: 0.4561 0.5162 0.8299  4 O 1.46-1.56
S: 0.4580 0.8481 0.1649  4 O 1.46-1.54
S: 0.5142 0.1630 0.8297  4 O 1.46-1.56
S: 0.5162 0.5009 0.1642  4 O 1.46-1.54
S: 0.5198 0.8737 0.8298  4 O 1.45-1.55
S: 0.8100 0.4994 0.6649  4 O 1.46-1.53
S: 0.8097 0.8727 0.3283  4 O 1.46-1.56
S: 0.8148 0.1635 0.3292  4 O 1.46-1.55
S: 0.8692 0.8507 0.6649  4 O 1.46-1.53
S: 0.8724 0.5174 0.3284  4 O 1.46-1.56
S: 0.9565 0.0162 0.8297  4 O 1.46-1.56
S: 0.9604 0.3530 0.1646  4 O 1.47-1.54
O: 0.0014 0.1932 0.6578  1 Si 1.72, 1 Ta 1.92
O: 0.0363 0.2685 0.4387  1 Si 1.57
O: 0.0403 0.1053 0.5522  1 Si 1.70, 1 Ta 1.89
O: 0.0449 0.0961 0.8342  1 S 1.48
O: 0.0455 0.7573 0.2168  1 S 1.46
O: 0.0485 0.9379 0.8277  1 S 1.47
O: 0.0496 0.2686 0.1600  1 S 1.54
O: 0.0505 0.9505 0.1091  1 S 1.48
O: 0.0516 0.6119 0.7774  1 S 1.46
O: 0.0548 0.5961 0.4878  1 Si 1.71
O: 0.0615 0.4260 0.8861  1 S 1.55
O: 0.0646 0.4259 0.1715  1 S 1.48
O: 0.0657 0.7645 0.5048  1 Si 1.60
O: 0.0730 0.7421 0.1087  1 S 1.48
O: 0.0780 0.6154 0.1704  1 S 1.48
O: 0.0781 0.9416 0.5094  1 Si 1.60
O: 0.0791 0.4200 0.7783  1 S 1.46
O: 0.0823 0.6159 0.8851  1 S 1.56
O: 0.0845 0.0884 0.1608  1 S 1.54
O: 0.0856 0.2870 0.8335  1 S 1.47
O: 0.0865 0.9554 0.2171  1 S 1.46
O: 0.0910 0.7480 0.8308  1 S 1.49
O: 0.1047 0.0756 0.4380  1 Si 1.57
O: 0.1047 0.2864 0.5530  1 Si 1.70, 1 Ta 1.89
O: 0.1047 0.4254 0.4871  1 Si 1.68
O: 0.2229 0.4246 0.9885  1 Si 1.69
O: 0.2236 0.0754 0.9379  1 Si 1.57
O: 0.2245 0.2857 0.0534  1 Si 1.69
O: 0.2351 0.6061 0.6706  1 Si 1.64
O: 0.2352 0.7487 0.3273  1 S 1.48
O: 0.2407 0.7457 0.6083  1 Si 1.62
O: 0.2418 0.9604 0.7179  1 S 1.47
O: 0.2442 0.2861 0.3332  1 S 1.48
O: 0.2470 0.0912 0.6606  1 S 1.53
O: 0.2466 0.6178 0.3847  1 S 1.56
O: 0.2509 0.4183 0.2778  1 S 1.46
O: 0.2507 0.9415 0.0081  1 Si 1.60
O: 0.2600 0.7624 0.0077  1 Si 1.60
O: 0.2642 0.4219 0.6721  1 S 1.47
O: 0.2691 0.4249 0.3858  1 S 1.53
O: 0.2725 0.6105 0.2772  1 S 1.46
O: 0.2741 0.5946 0.9881  1 Si 1.69
O: 0.2788 0.9526 0.6096  1 S 1.47
O: 0.2802 0.9382 0.3272  1 S 1.46
O: 0.2822 0.2659 0.6604  1 S 1.54
O: 0.2829 0.0960 0.3340  1 S 1.48
O: 0.2878 0.1050 0.0522  1 Si 1.69
O: 0.2917 0.2686 0.9386  1 Si 1.57
O: 0.2920 0.7555 0.7293  1 Si 1.63
O: 0.3284 0.1931 0.1578  1 Si 1.73, 1 Ta 1.91
O: 0.3346 0.5334 0.4865  1 Si 1.69
O: 0.3444 0.8515 0.5054  1 Si 1.60
O: 0.3472 0.1638 0.5546  1 Si 1.68
O: 0.3529 0.1709 0.8358  1 S 1.46
O: 0.3529 0.5134 0.1705  1 S 1.49
O: 0.3544 0.5264 0.7797  1 S 1.46
O: 0.3545 0.8679 0.8312  1 S 1.49
O: 0.3575 0.5082 0.8871  1 S 1.56
O: 0.3592 0.2007 0.4343  1 Si 1.59
O: 0.3617 0.8366 0.2170  1 S 1.46
O: 0.3722 0.8583 0.1088  1 S 1.48
O: 0.4552 0.3627 0.6092  1 S 1.48
O: 0.4652 0.7049 0.9335  1 Si 1.59
O: 0.4674 0.3379 0.7172  1 S 1.48
O: 0.4698 0.0076 0.3863  1 S 1.55
O: 0.4722 0.6711 0.3338  1 S 1.46
O: 0.4733 0.0265 0.2790  1 S 1.47
O: 0.4743 0.0104 0.6713  1 S 1.49
O: 0.4751 0.3671 0.3305  1 S 1.49
O: 0.4848 0.3517 0.0053  1 Si 1.60
O: 0.4891 0.6641 0.0508  1 Si 1.69
O: 0.4933 0.0327 0.9872  1 Si 1.69
O: 0.5018 0.6929 0.6584  1 Si 1.72, 1 Ta 1.92
O: 0.5351 0.7675 0.4381  1 Si 1.57
O: 0.5400 0.6052 0.5520  1 Si 1.70, 1 Ta 1.89
O: 0.5407 0.2570 0.2282  1 Si 1.62
O: 0.5446 0.5963 0.8348  1 S 1.48
O: 0.5457 0.4534 0.1087  1 S 1.47
O: 0.5478 0.4383 0.8279  1 S 1.47
O: 0.5511 0.1120 0.7771  1 S 1.46
O: 0.5535 0.7661 0.1597  1 S 1.54
O: 0.5566 0.0954 0.4867  1 Si 1.70
O: 0.5604 0.9219 0.1706  1 S 1.48
O: 0.5615 0.9251 0.8864  1 S 1.55
O: 0.5641 0.2650 0.5035  1 Si 1.60
O: 0.5779 0.4421 0.5091  1 Si 1.60
O: 0.5786 0.9195 0.7785  1 S 1.45
O: 0.5825 0.1150 0.8846  1 S 1.56
O: 0.5838 0.4612 0.2170  1 S 1.46
O: 0.5858 0.7865 0.8335  1 S 1.48
O: 0.5885 0.2444 0.1071  1 Si 1.62
O: 0.5882 0.5908 0.1589  1 S 1.54
O: 0.5912 0.2477 0.8306  1 S 1.49
O: 0.5946 0.1062 0.1711  1 Si 1.64
O: 0.6038 0.5758 0.4373  1 Si 1.57
O: 0.6049 0.7856 0.5530  1 Si 1.70, 1 Ta 1.89
O: 0.6059 0.9240 0.4875  1 Si 1.69
O: 0.7224 0.7848 0.0545  1 Si 1.70
O: 0.7231 0.5776 0.9398  1 Si 1.58
O: 0.7253 0.9242 0.9889  1 Si 1.69
O: 0.7348 0.1062 0.6707  1 Si 1.64
O: 0.7380 0.2482 0.3297  1 S 1.49
O: 0.7399 0.2455 0.6081  1 Si 1.62
O: 0.7402 0.7878 0.3335  1 S 1.46
O: 0.7421 0.4598 0.7180  1 S 1.47
O: 0.7464 0.1160 0.3837  1 S 1.55
O: 0.7460 0.5906 0.6613  1 S 1.53
O: 0.7480 0.9194 0.2771  1 S 1.46
O: 0.7506 0.4424 0.0099  1 Si 1.59
O: 0.7645 0.9221 0.6721  1 S 1.46
O: 0.7649 0.2655 0.0036  1 Si 1.60
O: 0.7721 0.9267 0.3849  1 S 1.56
O: 0.7725 0.0959 0.9874  1 Si 1.70
O: 0.7783 0.1122 0.2761  1 S 1.47
O: 0.7788 0.4525 0.6098  1 S 1.46
O: 0.7813 0.5952 0.3336  1 S 1.46
O: 0.7818 0.7663 0.6608  1 S 1.53
O: 0.7832 0.4376 0.3271  1 S 1.48
O: 0.7864 0.6060 0.0542  1 Si 1.70, 1 Ta 1.90
O: 0.7920 0.2557 0.7291  1 Si 1.63
O: 0.7933 0.7681 0.9398  1 Si 1.58
O: 0.8357 0.0332 0.4870  1 Si 1.69
O: 0.8439 0.3523 0.5054  1 Si 1.60
O: 0.8450 0.6959 0.1597  1 S 1.54
O: 0.8484 0.7039 0.4406  1 Si 1.57
O: 0.8503 0.6633 0.5583  1 Si 1.69
O: 0.8528 0.6710 0.8360  1 S 1.46
O: 0.8545 0.0259 0.7796  1 S 1.46
O: 0.8548 0.3684 0.8311  1 S 1.48
O: 0.8556 0.0090 0.1708  1 S 1.49
O: 0.8587 0.0077 0.8869  1 S 1.56
O: 0.8624 0.3400 0.2165  1 S 1.47
O: 0.8759 0.3645 0.1085  1 S 1.48
O: 0.9551 0.8628 0.6094  1 S 1.48
O: 0.9677 0.8383 0.7174  1 S 1.48
O: 0.9700 0.2009 0.9346  1 Si 1.59
O: 0.9729 0.5091 0.3851  1 S 1.56
O: 0.9728 0.5252 0.2772  1 S 1.46
O: 0.9743 0.5103 0.6715  1 S 1.49
O: 0.9742 0.8679 0.3270  1 S 1.48
O: 0.9762 0.1713 0.3350  1 S 1.46
O: 0.9818 0.1639 0.0549  1 Si 1.68
O: 0.9849 0.8486 0.0087  1 Si 1.60
O: 0.9931 0.5345 0.9879  1 Si 1.69

***

This record from the Materials Project database describes a relaxed K2RbPrCl6 crystal. The functional is PBE.

Summary:
formation energy from the elements = -2368 meV/atom
total DFT energy (no corrections) = -156.26 eV per cell

a = 11.7111 Å, b = 11.7111 Å, c = 11.7111 Å
α = 90.00°, β = 90.00°, γ = 90.00°
With the nearest neighbours (Å) after each atom.
Space group Fm-3m (No. 225)
Inequivalent atoms, fractional coordinates:
K: 0.2500 0.2500 0.2500  12 Cl 4.14
Rb: 0.0000 0.0000 0.0000  6 Cl 3.11
Pr: 0.0000 0.0000 0.5000  6 Cl 2.75
Cl: 0.0000 0.0000 0.2654  1 Pr 2.75

***

This record from the Materials Project database describes a relaxed TeMoWSeS2 crystal. The functional is PBE.

Summary:
formation energy from the elements = -723 meV/atom
total DFT energy (no corrections) = -84.10 eV per cell
offset from the most stable computed form = 0.22 eV per formula unit

a = 3.3044 Å, b = 3.3044 Å, c = 39.1175 Å
α = 90.00°, β = 90.00°, γ = 120.00°
With the nearest neighbours (Å) after each atom.
Space group P3m1 (No. 156)
Inequivalent atoms, fractional coordinates:
Te: 0.0000 0.0000 0.0000  3 W 2.71
Te: 0.0000 0.0000 0.0984  3 W 2.71
Mo: 0.0000 0.0000 0.2392  6 Se 2.54
Mo: 0.0000 0.0000 0.8616  6 S 2.44-2.45
W: 0.3333 0.6667 0.0492  6 Te 2.71
W: 0.3333 0.6667 0.4261  6 S 2.45
Se: 0.3333 0.6667 0.1962  3 Mo 2.54
Se: 0.3333 0.6667 0.2821  3 Mo 2.54
S: 0.0000 0.0000 0.3868  3 W 2.45
S: 0.0000 0.0000 0.4653  3 W 2.45
S: 0.3333 0.6667 0.8226  3 Mo 2.44
S: 0.3333 0.6667 0.9007  3 Mo 2.45